Gd3Cu4Ge4 | Materials Project | r²SCAN | optimized geometry; space-group type = Immm, No. 71
1.0
-1.564 0.151 3.924
-4.104 -5.014 -1.442
7.678 -2.139 0.866
Gd Cu Ge
3 4 4
Direct
0.131 0.132 0.263
0.000 0.500 0.000
0.869 0.868 0.737
0.332 0.144 0.663
0.668 0.856 0.337
0.668 0.480 0.336
0.332 0.520 0.664
0.500 0.810 0.000
0.783 0.283 0.567
0.217 0.717 0.433
0.500 0.190 0.000

GdCuGe | Materials Project | r²SCAN | optimized geometry; space-group type = P6_3mc, No. 186
1.0
-0.725 4.104 -0.625
0.600 -2.559 -3.293
-7.489 -1.368 -0.300
Gd Cu Ge
2 2 2
Direct
0.000 0.000 0.498
0.000 0.000 0.998
0.333 0.667 0.244
0.667 0.333 0.744
0.667 0.333 0.250
0.333 0.667 0.750

GdCuGe | Materials Project | r²SCAN | optimized geometry; space-group type = P6_3mc, No. 186
1.0
2.116 -3.665 0.000
2.116 3.665 0.000
0.000 0.000 7.520
Gd Cu Ge
2 2 2
Direct
0.000 0.000 0.498
0.000 0.000 0.998
0.333 0.667 0.232
0.667 0.333 0.732
0.667 0.333 0.262
0.333 0.667 0.762

Gd2CuO4 | Materials Project | r²SCAN | optimized geometry; space-group type = I4/mmm, No. 139
1.0
-1.287 -1.434 3.369
2.600 -2.872 -0.229
3.283 5.487 1.354
Gd Cu O
2 1 4
Direct
0.650 0.650 0.300
0.350 0.350 0.700
0.000 0.000 0.000
0.000 0.500 0.000
0.500 0.000 0.000
0.250 0.750 0.500
0.750 0.250 0.500

PmGdCu2 | Materials Project | r²SCAN | optimized geometry; space-group type = Fm-3m, No. 225
1.0
0.000 3.516 3.516
3.516 0.000 3.516
3.516 3.516 0.000
Pm Gd Cu
1 1 2
Direct
0.000 0.000 0.000
0.500 0.500 0.500
0.750 0.750 0.750
0.250 0.250 0.250

GdCu3S3 | Materials Project | r²SCAN | optimized geometry; space-group type = R-3, No. 148
1.0
-6.291 -3.794 1.419
-0.815 -7.433 0.275
-1.495 -4.149 6.045
Gd Cu S
2 6 6
Direct
0.667 0.667 0.667
0.333 0.333 0.333
0.783 0.464 0.124
0.464 0.124 0.783
0.124 0.783 0.464
0.876 0.217 0.536
0.536 0.876 0.217
0.217 0.536 0.876
0.246 0.915 0.583
0.583 0.246 0.915
0.915 0.583 0.246
0.085 0.417 0.754
0.417 0.754 0.085
0.754 0.085 0.417

GdCuS2 | Materials Project | r²SCAN | optimized geometry; space-group type = P2_1/c, No. 14
1.0
7.046 0.000 0.000
0.000 6.404 -0.013
0.000 0.894 6.711
Gd Cu S
4 4 8
Direct
0.949 0.808 0.801
0.449 0.192 0.699
0.051 0.192 0.199
0.551 0.808 0.301
0.839 0.422 0.551
0.339 0.578 0.949
0.161 0.578 0.449
0.661 0.422 0.051
0.385 0.411 0.279
0.886 0.589 0.221
0.614 0.589 0.721
0.114 0.411 0.779
0.773 0.080 0.502
0.273 0.920 0.998
0.227 0.920 0.498
0.727 0.080 0.002

Gd3CuSiSe7 | Materials Project | r²SCAN | optimized geometry; space-group type = P6_3, No. 173
1.0
-1.128 4.872 -9.142
-7.670 0.303 7.051
2.368 4.981 2.362
Gd Cu Si Se
6 2 2 14
Direct
0.644 0.774 0.735
0.774 0.129 0.235
0.226 0.871 0.735
0.871 0.644 0.236
0.129 0.356 0.736
0.356 0.226 0.235
0.000 0.000 0.704
0.000 0.000 0.204
0.667 0.333 0.825
0.333 0.667 0.325
0.103 0.582 0.476
0.667 0.333 0.451
0.257 0.163 0.714
0.522 0.104 0.976
0.163 0.906 0.214
0.906 0.743 0.714
0.743 0.837 0.214
0.897 0.418 0.976
0.094 0.257 0.214
0.837 0.094 0.714
0.478 0.896 0.476
0.333 0.667 0.951
0.418 0.522 0.476
0.582 0.478 0.976

GdCuSi | Materials Project | r²SCAN | optimized geometry; space-group type = P6_3/mmc, No. 194
1.0
-3.740 -0.740 1.572
3.373 -1.186 2.056
0.181 6.846 3.652
Gd Cu Si
2 2 2
Direct
0.000 0.000 0.000
0.000 0.000 0.500
0.333 0.667 0.250
0.667 0.333 0.750
0.667 0.333 0.250
0.333 0.667 0.750

GdCu2Sn2 | Materials Project | r²SCAN | optimized geometry; space-group type = P4/nmm, No. 129
1.0
-3.180 -0.736 -2.905
-0.120 -4.202 1.195
-7.334 2.325 7.439
Gd Cu Sn
2 4 4
Direct
0.000 0.500 0.237
0.500 0.000 0.763
0.000 0.000 0.000
0.500 0.500 0.000
0.000 0.500 0.639
0.500 0.000 0.361
0.000 0.000 0.500
0.500 0.500 0.500
0.000 0.500 0.871
0.500 0.000 0.129

GdCuSn | Materials Project | r²SCAN | optimized geometry; space-group type = P6_3mc, No. 186
1.0
1.934 1.504 3.811
-4.513 -0.282 -0.292
0.265 -6.939 2.604
Gd Cu Sn
2 2 2
Direct
0.000 0.000 0.498
0.000 0.000 0.998
0.667 0.333 0.316
0.333 0.667 0.816
0.333 0.667 0.229
0.667 0.333 0.729

GdYCu4 | Materials Project | r²SCAN | optimized geometry; space-group type = Imm2, No. 44
1.0
5.256 -0.874 -1.066
0.733 4.372 3.132
-1.763 -5.039 0.983
Gd Y Cu
1 1 4
Direct
0.458 0.457 0.000
0.042 0.542 0.500
0.637 0.834 0.803
0.864 0.166 0.698
0.468 0.166 0.302
0.032 0.835 0.197

HfCuGe | Materials Project | r²SCAN | optimized geometry; space-group type = I4/mmm, No. 139
1.0
3.757 0.000 -0.001
0.000 3.757 -0.001
-1.880 -1.880 6.716
Hf Cu Ge
2 2 2
Direct
0.330 0.330 0.661
0.670 0.670 0.339
0.500 0.000 0.000
0.000 0.500 0.000
0.127 0.127 0.254
0.873 0.873 0.746

HoCuGe | Materials Project | r²SCAN | optimized geometry; space-group type = P6_3mc, No. 186
1.0
2.110 -3.655 0.000
2.110 3.655 0.000
0.000 0.000 7.153
Ho Cu Ge
2 2 2
Direct
0.000 0.000 0.750
0.000 0.000 0.250
0.667 0.333 0.537
0.333 0.667 0.037
0.333 0.667 0.474
0.667 0.333 0.974

HoCu2Ge2 | Materials Project | r²SCAN | optimized geometry; space-group type = I4/mmm, No. 139
1.0
3.763 0.000 -1.367
-0.496 3.730 -1.367
0.001 0.001 5.866
Ho Cu Ge
1 2 2
Direct
0.000 0.000 0.000
0.250 0.750 0.500
0.750 0.250 0.500
0.619 0.619 0.237
0.381 0.381 0.763

HoCuGe | Materials Project | r²SCAN | optimized geometry; space-group type = P6_3/mmc, No. 194
1.0
2.091 -3.622 0.000
2.091 3.622 0.000
0.000 0.000 7.385
Ho Cu Ge
2 2 2
Direct
0.000 0.000 0.500
0.000 0.000 0.000
0.333 0.667 0.250
0.667 0.333 0.750
0.333 0.667 0.750
0.667 0.333 0.250

Ho3Cu4Ge4 | Materials Project | r²SCAN | optimized geometry; space-group type = Immm, No. 71
1.0
-2.683 2.741 -1.611
-4.891 -2.754 3.459
5.055 4.321 4.304
Ho Cu Ge
3 4 4
Direct
0.869 0.869 0.738
0.131 0.131 0.262
0.000 0.500 0.000
0.669 0.858 0.338
0.331 0.142 0.662
0.669 0.480 0.338
0.331 0.520 0.662
0.783 0.283 0.567
0.500 0.809 0.000
0.500 0.191 0.000
0.217 0.717 0.433

Ho3CuGeS7 | Materials Project | r²SCAN | optimized geometry; space-group type = P6_3, No. 173
1.0
0.821 8.427 4.878
-7.258 -1.239 -6.424
-3.399 -2.129 4.251
Ho Cu Ge S
6 2 2 14
Direct
0.642 0.779 0.751
0.221 0.863 0.751
0.137 0.358 0.751
0.863 0.642 0.251
0.779 0.137 0.251
0.358 0.221 0.251
0.000 0.000 0.684
0.000 0.000 0.184
0.667 0.333 0.833
0.333 0.667 0.333
0.157 0.897 0.202
0.843 0.103 0.702
0.667 0.333 0.458
0.740 0.843 0.202
0.424 0.522 0.493
0.576 0.478 0.993
0.103 0.260 0.202
0.522 0.097 0.993
0.903 0.424 0.993
0.897 0.740 0.702
0.260 0.157 0.702
0.478 0.903 0.493
0.333 0.667 0.958
0.097 0.576 0.493

LaCu2Ge2 | Materials Project | r²SCAN | optimized geometry; space-group type = I4/mmm, No. 139
1.0
3.942 0.000 -1.510
-0.578 3.899 -1.510
-0.008 -0.009 5.880
La Cu Ge
1 2 2
Direct
0.000 0.000 0.000
0.750 0.250 0.500
0.250 0.750 0.500
0.626 0.626 0.252
0.374 0.374 0.748

LaCuGe2 | Materials Project | r²SCAN | optimized geometry; space-group type = Cmcm, No. 63
1.0
6.691 5.147 2.831
-8.539 -2.518 0.174
0.895 -2.825 3.020
La Cu Ge
2 2 4
Direct
0.894 0.106 0.750
0.106 0.894 0.250
0.679 0.321 0.750
0.321 0.679 0.250
0.540 0.460 0.750
0.460 0.540 0.250
0.248 0.752 0.750
0.752 0.248 0.250

Li2CuGe | Materials Project | r²SCAN | optimized geometry; space-group type = F-43m, No. 216
1.0
-1.823 -0.794 -3.661
2.219 -1.646 -3.119
-0.671 -3.938 -1.182
Li Cu Ge
2 1 1
Direct
0.250 0.250 0.250
0.500 0.500 0.500
0.750 0.750 0.750
0.000 0.000 0.000

LuCuGe | Materials Project | r²SCAN | optimized geometry; space-group type = P-6m2, No. 187
1.0
1.834 1.311 3.430
2.258 -1.079 -3.253
-0.143 3.466 -1.249
Lu Cu Ge
1 1 1
Direct
0.000 0.000 0.000
0.334 0.667 0.500
0.667 0.333 0.500

Nd3Cu4Ge4 | Materials Project | r²SCAN | optimized geometry; space-group type = Immm, No. 71
1.0
4.160 0.000 -1.136
-0.753 6.064 -2.755
-0.004 0.007 8.170
Nd Cu Ge
3 4 4
Direct
0.867 0.367 0.733
0.000 0.000 0.000
0.133 0.633 0.267
0.666 0.351 0.332
0.334 0.649 0.668
0.334 0.019 0.668
0.666 0.981 0.332
0.500 0.312 0.000
0.216 0.216 0.433
0.784 0.784 0.567
0.500 0.688 0.000

PrCuGe | Materials Project | r²SCAN | optimized geometry; space-group type = P-6m2, No. 187
1.0
-3.505 2.150 0.833
1.077 -0.797 -3.976
-2.171 -3.589 0.131
Pr Cu Ge
1 1 1
Direct
0.333 0.667 0.000
0.667 0.333 0.500
0.000 0.000 0.500

Computed values of energy of formation (unit: meV per atom) for the preceding records, in sequence: -648.8, -718.9, -717.5, -2893.4, -154.4, -992.1, -1577.3, -1160.2, 121.8, -375.0, -625.9, -223.2, -556.5, -766.4, -538.7, -761.2, -694.0, -1650.1, -605.7, -684.2, -342.1, -676.1, -658.3, -691.7.
Computed values of E (unit: eV/f.u.) for the preceding records, in sequence: -236.2, -70.3, -70.3, -141.8, -95.2, -107.0, -76.6, -263.9, -62.7, -116.5, -80.9, -108.4, -71.5, -59.9, -85.0, -59.9, -205.2, -199.4, -82.2, -71.1, -30.9, -64.8, -194.4, -56.2.